# 1
First-principles (PBE+U) data for crystalline AlCoO3 at its relaxed geometry, as listed in the Materials Project database.

Cell: 5.2908 5.4124 11.8551 Å, 90.19 90.14 117.60°
Closest atoms and distances in Å follow each position.
Fractional coordinates of all 30 atoms:
Al1 0.0000 0.0000 0.0000  6 O 1.97-2.06
Al2 0.0052 0.0023 0.5024  6 O 1.98-2.06
Al3 0.3293 0.6588 0.0004  6 O 1.92-2.08
Al4 0.3370 0.6632 0.5026  6 O 1.93-2.11
Al5 0.6592 0.3296 0.9988  5 O 1.92-2.07
Al6 0.6968 0.3631 0.4933  5 O 1.91-2.01
Co1 0.0355 0.6982 0.2457  3 O 1.78-1.88
Co2 0.3272 0.9924 0.7472  4 O 1.79-1.89
Co3 0.3487 0.3111 0.2520  3 O 1.78-1.87
Co4 0.6425 0.0022 0.2511  3 O 1.72-1.90
Co5 0.6694 0.6682 0.7533  3 O 1.75-1.86
Co6 0.9943 0.3361 0.7502  3 O 1.74-1.86
O1 0.0069 0.0136 0.2537  3 Co 1.78-1.90
O2 0.0222 0.6800 0.4243  3 Al 1.94-2.01, 1 Co 2.12
O3 0.0243 0.6877 0.0758  2 Al 1.92-1.97, 1 Co 2.01
O4 0.3085 0.9678 0.5885  1 Co 1.89, 2 Al 1.98-2.00
O5 0.3091 0.6491 0.7572  3 Co 1.74-1.86
O6 0.3310 0.9969 0.9165  1 Co 2.01, 3 Al 2.02-2.08
O7 0.3377 0.3278 0.0761  3 Al 1.93-2.05, 1 Co 2.09
O8 0.3486 0.3265 0.4295  3 Al 1.91-2.05, 1 Co 2.11
O9 0.3725 0.6636 0.2547  3 Co 1.72-1.88
O10 0.6384 0.3247 0.7462  3 Co 1.79-1.86
O11 0.6570 0.0002 0.0810  1 Co 2.02, 3 Al 2.03-2.08
O12 0.6595 0.6619 0.9288  3 Al 1.94-2.06, 1 Co 2.08
O13 0.6645 0.0121 0.4220  3 Al 2.01-2.11, 1 Co 2.03
O14 0.6720 0.6782 0.5733  3 Al 1.93-2.01, 1 Co 2.14
O15 0.7197 0.3548 0.2502  3 Co 1.76-1.87
O16 0.9753 0.9927 0.7568  3 Co 1.75-1.87
O17 0.9818 0.3214 0.9286  3 Al 1.92-2.08, 1 Co 2.12
O18 0.9950 0.3274 0.5743  3 Al 1.93-2.07, 1 Co 2.09

Computed properties:
The uncorrected energy is -6.495 eV per atom. Its symmetry is P1 (1). The value obtained for the formation energy from the elements is -2096 meV/atom.

# 2
First-principles (PBE+U) data for crystalline Al2CoO4 at its relaxed geometry, as listed in the Materials Project database.

Cell: 19.1991 19.1991 19.1991 Å, 17.33 17.33 17.33°
Closest atoms and distances in Å follow each position.
Fractional coordinates of all 56 atoms:
Al1 0.0000 0.0000 0.0000  4 O 1.82-1.83
Al2 0.0942 0.0942 0.0942  6 O 1.92-1.94
Al3 0.2188 0.7194 0.7194  6 O 1.93-1.94
Al4 0.2216 0.2216 0.7154  6 O 1.89-2.05
Al5 0.2216 0.7154 0.2216  6 O 1.89-2.05
Al6 0.4692 0.9690 0.9690  6 O 1.93-1.94
Al7 0.4709 0.4709 0.9661  6 O 1.92-1.97
Al8 0.4709 0.9661 0.4709  6 O 1.92-1.97
Al9 0.5941 0.5941 0.5941  6 O 1.92-1.93
Al10 0.7154 0.2216 0.2216  6 O 1.89-2.05
Al11 0.7194 0.2188 0.7194  6 O 1.93-1.94
Al12 0.7194 0.7194 0.2188  6 O 1.93-1.94
Al13 0.8441 0.8441 0.8441  6 O 1.93-1.94
Al14 0.9661 0.4709 0.4709  6 O 1.92-1.97
Al15 0.9690 0.4692 0.9690  6 O 1.93-1.94
Al16 0.9690 0.9690 0.4692  6 O 1.93-1.94
Co1 0.1879 0.1879 0.1879  4 O 1.97-1.98
Co2 0.2510 0.2510 0.2510  4 O 1.98-2.02
Co3 0.3449 0.3449 0.3449  6 O 2.04-2.13
Co4 0.4383 0.4383 0.4383  4 O 1.95-1.97
Co5 0.5004 0.5004 0.5004  4 O 1.98-1.99
Co6 0.6888 0.6888 0.6888  4 O 1.94-2.01
Co7 0.7497 0.7497 0.7497  4 O 1.99-2.00
Co8 0.9381 0.9381 0.9381  4 O 1.98
O1 0.0137 0.0137 0.5717  3 Al 1.93-1.94, 1 Co 1.98
O2 0.0137 0.5717 0.0137  3 Al 1.93-1.94, 1 Co 1.98
O3 0.0323 0.0323 0.0323  1 Al 1.83
O4 0.0605 0.5224 0.5224  2 Al 1.89, 2 Co 1.94-2.04
O5 0.1167 0.6749 0.6749  3 Al 1.93-1.94, 1 Co 1.98
O6 0.1531 0.1531 0.1531  3 Al 1.94, 1 Co 1.97
O7 0.1563 0.1563 0.6509  3 Al 1.82-1.97
O8 0.1563 0.6509 0.1563  3 Al 1.82-1.97
O9 0.2634 0.2634 0.8221  3 Al 1.93-1.94, 1 Co 1.97
O10 0.2634 0.8221 0.2634  3 Al 1.93-1.94, 1 Co 1.97
O11 0.2866 0.2866 0.2866  3 Al 1.92, 1 Co 2.02
O12 0.3232 0.7625 0.7625  3 Al 1.92-1.93, 1 Co 1.98
O13 0.3620 0.9271 0.9271  3 Al 1.92, 1 Co 1.99
O14 0.4039 0.4039 0.4039  3 Al 1.93, 1 Co 1.95
O15 0.4244 0.4244 0.8682  3 Al 1.93-1.94, 1 Co 1.98
O16 0.4244 0.8682 0.4244  3 Al 1.93-1.94, 1 Co 1.98
O17 0.5224 0.0605 0.5224  2 Al 1.89, 2 Co 1.94-2.04
O18 0.5224 0.5224 0.0605  2 Al 1.89, 2 Co 1.94-2.04
O19 0.5355 0.5355 0.5355  3 Al 1.93, 1 Co 1.99
O20 0.5717 0.0137 0.0137  3 Al 1.93-1.94, 1 Co 1.98
O21 0.6509 0.1563 0.1563  3 Al 1.82-1.97
O22 0.6534 0.6534 0.6534  3 Al 1.93, 1 Co 2.01
O23 0.6749 0.1167 0.6749  3 Al 1.93-1.94, 1 Co 1.98
O24 0.6749 0.6749 0.1167  3 Al 1.93-1.94, 1 Co 1.98
O25 0.7625 0.3232 0.7625  3 Al 1.92-1.93, 1 Co 1.98
O26 0.7625 0.7625 0.3232  3 Al 1.92-1.93, 1 Co 1.98
O27 0.7850 0.7850 0.7850  3 Al 1.94, 1 Co 2.00
O28 0.8221 0.2634 0.2634  3 Al 1.93-1.94, 1 Co 1.97
O29 0.8682 0.4244 0.4244  3 Al 1.93-1.94, 1 Co 1.98
O30 0.9032 0.9032 0.9032  3 Al 1.94, 1 Co 1.98
O31 0.9271 0.3620 0.9271  3 Al 1.92, 1 Co 1.99
O32 0.9271 0.9271 0.3620  3 Al 1.92, 1 Co 1.99

Computed properties:
The uncorrected energy is -7.124 eV per atom. Its symmetry is R3m (160). The calculation puts the relative energy among the computed polymorphs at 51 meV/atom. The value obtained for the formation energy from the elements is -2837 meV/atom.

# 3
First-principles (PBE+U) data for crystalline AlCoO3 at its relaxed geometry, as listed in the Materials Project database.

Cell: 5.4145 5.4145 11.5576 Å, 90.00 90.00 120.00°
Closest atoms and distances in Å follow each position.
Fractional coordinates of all 30 atoms:
Al1 0.0000 0.0000 0.0000  7 O 1.97-2.16
Al2 0.0000 0.0000 0.5000  7 O 1.97-2.16
Al3 0.3333 0.6667 0.4845  6 O 1.94-2.05
Al4 0.3333 0.6667 0.9845  6 O 1.94-2.05
Al5 0.6667 0.3333 0.4845  6 O 1.94-2.05
Al6 0.6667 0.3333 0.9845  6 O 1.94-2.05
Co1 0.0000 0.3275 0.2357  5 O 1.84-2.04
Co2 0.0000 0.6725 0.7357  5 O 1.84-2.04
Co3 0.3275 0.0000 0.2357  5 O 1.84-2.04
Co4 0.3275 0.3275 0.7357  5 O 1.84-2.04
Co5 0.6725 0.0000 0.7357  5 O 1.84-2.04
Co6 0.6725 0.6725 0.2357  5 O 1.84-2.04
O1 0.0000 0.0000 0.1800  3 Co 1.89, 1 Al 2.08
O2 0.0000 0.0000 0.6800  3 Co 1.89, 1 Al 2.08
O3 0.0000 0.3102 0.4117  3 Al 1.97-2.05, 1 Co 2.04
O4 0.0000 0.3735 0.0645  3 Al 1.94-2.16, 1 Co 1.99
O5 0.0000 0.6265 0.5645  3 Al 1.94-2.16, 1 Co 1.99
O6 0.0000 0.6898 0.9117  3 Al 1.97-2.05, 1 Co 2.04
O7 0.3102 0.0000 0.4117  3 Al 1.97-2.05, 1 Co 2.04
O8 0.3102 0.3102 0.9117  3 Al 1.97-2.05, 1 Co 2.04
O9 0.3333 0.6667 0.2566  3 Co 1.84
O10 0.3333 0.6667 0.7566  3 Co 1.84
O11 0.3735 0.0000 0.0645  3 Al 1.94-2.16, 1 Co 1.99
O12 0.3735 0.3735 0.5645  3 Al 1.94-2.16, 1 Co 1.99
O13 0.6265 0.0000 0.5645  3 Al 1.94-2.16, 1 Co 1.99
O14 0.6265 0.6265 0.0645  3 Al 1.94-2.16, 1 Co 1.99
O15 0.6667 0.3333 0.2566  3 Co 1.84
O16 0.6667 0.3333 0.7566  3 Co 1.84
O17 0.6898 0.0000 0.9117  3 Al 1.97-2.05, 1 Co 2.04
O18 0.6898 0.6898 0.4117  3 Al 1.97-2.05, 1 Co 2.04

Computed properties:
The uncorrected energy is -6.507 eV per atom. Its symmetry is P6_3cm (185). The value obtained for the formation energy from the elements is -2107 meV/atom.